(1)
Entry from the Materials Project: an optimized crystal structure of Cs2CoCl4 (r2SCAN).

Properties
Calculated formation energy (kJ/mol of formula units): -1171
Symmetry: No. 62

```
Cs2CoCl4
1.0
9.823 0.000 0.000
0.000 7.376 0.000
0.000 0.000 12.950
Cs Co Cl
8 4 16
direct
0.021 0.250 0.174
0.139 0.750 0.402
0.361 0.250 0.902
0.479 0.750 0.674
0.521 0.250 0.326
0.639 0.750 0.098
0.861 0.250 0.598
0.979 0.750 0.826
0.235 0.750 0.078
0.265 0.250 0.578
0.735 0.750 0.422
0.765 0.250 0.922
0.007 0.750 0.099
0.177 0.002 0.652
0.177 0.498 0.652
0.188 0.250 0.414
0.312 0.750 0.914
0.323 0.502 0.152
0.323 0.998 0.152
0.493 0.250 0.599
0.507 0.750 0.401
0.677 0.002 0.848
0.677 0.498 0.848
0.688 0.250 0.086
0.812 0.750 0.586
0.823 0.502 0.348
0.823 0.998 0.348
0.993 0.250 0.901
```


(2)
Entry from the Materials Project: an optimized crystal structure of Ca3Ni7B2 (r2SCAN).

Properties
Calculated formation energy (kJ/mol of formula units): -355
Symmetry: No. 166

```
Ca3Ni7B2
1.0
2.553 1.474 7.037
-2.553 1.474 7.037
0.000 -2.948 7.037
Ca Ni B
3 7 2
direct
0.000 0.000 0.000
0.145 0.145 0.145
0.855 0.855 0.855
0.073 0.560 0.560
0.440 0.440 0.927
0.440 0.927 0.440
0.500 0.500 0.500
0.560 0.073 0.560
0.560 0.560 0.073
0.927 0.440 0.440
0.330 0.330 0.330
0.670 0.670 0.670
```


(3)
Entry from the Materials Project: an optimized crystal structure of Sb (r2SCAN).

Properties
Calculated formation energy (kJ/mol of formula units): 4
Energy relative to the lowest polymorph listed for this composition (meV per atom): 46
Symmetry: No. 221

```
Sb
1.0
3.083 0.000 0.000
0.000 3.083 0.000
0.000 0.000 3.083
Sb
1
direct
0.000 0.000 0.000
```


(4)
Entry from the Materials Project: an optimized crystal structure of CoPtO2 (r2SCAN).

Properties
Calculated formation energy (kJ/mol of formula units): -416

```
CoPtO2
1.0
0.200 0.085 -2.815
-6.646 -4.647 -2.029
-5.111 5.012 -1.630
O Pt Co
8 4 4
direct
0.832 0.140 0.196
0.168 0.860 0.804
0.168 0.360 0.304
0.669 0.610 0.054
0.832 0.640 0.696
0.332 0.390 0.946
0.332 0.890 0.446
0.668 0.110 0.554
0.000 0.000 0.000
0.500 0.250 0.750
0.000 0.500 0.500
0.500 0.750 0.250
0.250 0.625 0.875
0.750 0.375 0.125
0.750 0.875 0.625
0.250 0.125 0.375
```


(5)
Entry from the Materials Project: an optimized crystal structure of CsTe2O6 (r2SCAN).

Properties
Calculated formation energy (kJ/mol of formula units): -1154
Energy relative to the lowest polymorph listed for this composition (meV per atom): 9
Symmetry: No. 227

```
CsTe2O6
1.0
0.000 5.214 5.214
5.214 0.000 5.214
5.214 5.214 0.000
Cs Te O
2 4 12
direct
0.125 0.125 0.125
0.875 0.875 0.875
0.000 0.500 0.500
0.500 0.000 0.500
0.500 0.500 0.000
0.500 0.500 0.500
0.183 0.183 0.567
0.183 0.567 0.183
0.183 0.567 0.567
0.433 0.433 0.817
0.433 0.817 0.433
0.433 0.817 0.817
0.567 0.183 0.183
0.567 0.183 0.567
0.567 0.567 0.183
0.817 0.433 0.433
0.817 0.433 0.817
0.817 0.817 0.433
```


(6)
Entry from the Materials Project: an optimized crystal structure of Rb2SbBr6 (r2SCAN).

Properties
Calculated formation energy (kJ/mol of formula units): -1098
Symmetry: No. 2

```
Rb2SbBr6
1.0
10.746 0.000 0.000
-0.003 10.747 0.000
-5.373 -5.372 10.825
Rb Sb Br
8 4 24
direct
0.001 0.249 0.499
0.250 0.501 0.999
0.251 0.002 0.001
0.498 0.750 0.499
0.502 0.250 0.501
0.749 0.998 0.999
0.750 0.499 0.001
0.999 0.751 0.501
0.125 0.375 0.250
0.375 0.125 0.750
0.625 0.875 0.250
0.875 0.625 0.750
0.001 0.251 0.002
0.111 0.125 0.250
0.124 0.610 0.749
0.125 0.140 0.750
0.139 0.624 0.249
0.249 0.499 0.498
0.251 0.001 0.502
0.360 0.875 0.750
0.375 0.361 0.251
0.375 0.890 0.250
0.390 0.374 0.750
0.499 0.249 0.998
0.501 0.751 0.002
0.610 0.626 0.250
0.625 0.110 0.750
0.625 0.639 0.749
0.640 0.125 0.250
0.749 0.999 0.498
0.751 0.501 0.502
0.861 0.376 0.751
0.875 0.860 0.250
0.876 0.390 0.251
0.889 0.875 0.750
0.999 0.749 0.998
```


(7)
Entry from the Materials Project: an optimized crystal structure of Cs2YTlF6 (r2SCAN).

Properties
Calculated formation energy (kJ/mol of formula units): -3210
Symmetry: No. 225

```
Cs2YTlF6
1.0
0.000 4.813 4.813
4.813 0.000 4.813
4.813 4.813 0.000
Cs Y Tl F
2 1 1 6
direct
0.250 0.250 0.250
0.750 0.750 0.750
0.000 0.000 0.000
0.500 0.500 0.500
0.225 0.225 0.775
0.225 0.775 0.225
0.225 0.775 0.775
0.775 0.225 0.225
0.775 0.225 0.775
0.775 0.775 0.225
```


(8)
Entry from the Materials Project: an optimized crystal structure of LiAg3 (r2SCAN).

Properties
Calculated formation energy (kJ/mol of formula units): -47
Symmetry: No. 194

```
LiAg3
1.0
5.741 0.000 0.000
-2.870 4.972 0.000
0.000 0.000 4.658
Li Ag
2 6
direct
0.333 0.667 0.250
0.667 0.333 0.750
0.168 0.336 0.750
0.168 0.832 0.750
0.336 0.168 0.250
0.664 0.832 0.750
0.832 0.168 0.250
0.832 0.664 0.250
```